A plane-wave DFT calculation with GGA-PBE was carried out for an optimized crystal structure of RuCl2O.

Values from the calculation:
For the MP2020-corrected energy, the calculation gives -21.542 eV for the cell shown. As for the space group: Immm.

a = 6.848 Å, b = 6.848 Å, c = 6.848 Å
α = 149.66°, β = 148.71°, γ = 44.14°
Atoms (fractional coordinates):
1 O 0.500 0.000 0.500
2 Ru 0.000 0.000 0.000
3 Cl 0.127 0.627 0.500
4 Cl 0.873 0.373 0.500

A plane-wave DFT calculation with GGA-PBE was carried out for an optimized crystal structure of TaB2O2.

Values from the calculation:
For the MP2020-corrected energy, the calculation gives -161.994 eV for the cell shown. As for the space group: I4_1/amd.

a = 8.896 Å, b = 8.896 Å, c = 8.896 Å
α = 134.71°, β = 134.71°, γ = 65.98°
Atoms (fractional coordinates):
1 O 0.745 0.948 0.203
2 O 0.005 0.708 0.703
3 O 0.292 0.995 0.297
4 O 0.005 0.302 0.297
5 O 0.052 0.255 0.797
6 O 0.745 0.542 0.797
7 O 0.698 0.995 0.703
8 O 0.458 0.255 0.203
9 B 0.618 0.334 0.284
10 B 0.699 0.916 0.784
11 B 0.084 0.301 0.216
12 B 0.051 0.334 0.716
13 B 0.666 0.382 0.716
14 B 0.666 0.949 0.284
15 B 0.084 0.868 0.784
16 B 0.132 0.916 0.216
17 Ta 0.375 0.125 0.250
18 Ta 0.875 0.125 0.750
19 Ta 0.875 0.625 0.750
20 Ta 0.875 0.125 0.250

A plane-wave DFT calculation with GGA-PBE was carried out for an optimized crystal structure of TbPb3.

Values from the calculation:
As for the space group: Pm-3m.

a = 4.901 Å, b = 4.901 Å, c = 4.901 Å
α = 90.00°, β = 90.00°, γ = 90.00°
Atoms (fractional coordinates):
1 Tb 0.000 0.000 0.000
2 Pb 0.500 0.000 0.500
3 Pb 0.000 0.500 0.500
4 Pb 0.500 0.500 0.000

Computed formation energy from the elements (kJ/mol of formula units) in order:
-350; -520; -115